# 1
VASP calculation (PBE) on crystalline K3PrI6 at its relaxed geometry.

Calculated values
Energy relative to the elements ... -1604 meV per atom
Total energy ... -3.102 eV/atom

abc: 9.1672 9.1672 9.1672
angles: 60.00 60.00 60.00
With the nearest neighbours (Å) after each atom.
Sites, in units of the cell vectors:
K1 0.0000 0.0000 0.0000  6 I 3.36
K2 0.2500 0.2500 0.2500  12 I 4.59
K3 0.7500 0.7500 0.7500  12 I 4.59
Pr1 0.5000 0.5000 0.5000  6 I 3.12
I1 0.2592 0.2592 0.7408  1 Pr 3.12, 1 K 3.36
I2 0.2592 0.7408 0.2592  1 Pr 3.12, 1 K 3.36
I3 0.2592 0.7408 0.7408  1 Pr 3.12, 1 K 3.36
I4 0.7408 0.2592 0.2592  1 Pr 3.12, 1 K 3.36
I5 0.7408 0.2592 0.7408  1 Pr 3.12, 1 K 3.36
I6 0.7408 0.7408 0.2592  1 Pr 3.12, 1 K 3.36


# 2
VASP calculation (PBE) on crystalline K2RbPrI6 at its relaxed geometry.

Calculated values
Energy relative to the elements ... -1592 meV per atom
Total energy ... -3.077 eV/atom

abc: 9.3329 9.3329 9.3329
angles: 60.00 60.00 60.00
With the nearest neighbours (Å) after each atom.
Sites, in units of the cell vectors:
K1 0.2500 0.2500 0.2500  12 I 4.67
K2 0.7500 0.7500 0.7500  12 I 4.67
Rb1 0.0000 0.0000 0.0000  6 I 3.48
Pr1 0.5000 0.5000 0.5000  6 I 3.12
I1 0.2634 0.2634 0.7366  1 Pr 3.12, 1 Rb 3.48
I2 0.2634 0.7366 0.2634  1 Pr 3.12, 1 Rb 3.48
I3 0.2634 0.7366 0.7366  1 Pr 3.12, 1 Rb 3.48
I4 0.7366 0.2634 0.2634  1 Pr 3.12, 1 Rb 3.48
I5 0.7366 0.2634 0.7366  1 Pr 3.12, 1 Rb 3.48
I6 0.7366 0.7366 0.2634  1 Pr 3.12, 1 Rb 3.48


# 3
VASP calculation (PBE) on crystalline K2PtI5 at its relaxed geometry.

Calculated values
Energy relative to the elements ... -1023 meV per atom
Total energy ... -2.776 eV/atom

abc: 7.9066 7.9066 11.5250
angles: 90.00 90.00 71.26
With the nearest neighbours (Å) after each atom.
Sites, in units of the cell vectors:
K1 0.0358 0.5773 0.7500  7 I 3.63-3.82
K2 0.4227 0.9642 0.7500  7 I 3.63-3.82
K3 0.5773 0.0358 0.2500  7 I 3.63-3.82
K4 0.9642 0.4227 0.2500  7 I 3.63-3.82
Pt1 0.5000 0.5000 0.0000  6 I 2.69-2.90
Pt2 0.5000 0.5000 0.5000  6 I 2.69-2.90
I1 0.2076 0.7924 0.5214  1 Pt 2.71
I2 0.2076 0.7924 0.9786  1 Pt 2.71
I3 0.2909 0.2909 0.0000  1 Pt 2.69
I4 0.2909 0.2909 0.5000  1 Pt 2.69
I5 0.4658 0.5342 0.2500  2 Pt 2.90
I6 0.5342 0.4658 0.7500  2 Pt 2.90
I7 0.7091 0.7091 0.0000  1 Pt 2.69
I8 0.7091 0.7091 0.5000  1 Pt 2.69
I9 0.7924 0.2076 0.0214  1 Pt 2.71
I10 0.7924 0.2076 0.4786  1 Pt 2.71


# 4
VASP calculation (PBE) on crystalline K4Pt2I9 at its relaxed geometry.

Calculated values
Energy relative to the elements ... -1040 meV per atom
Total energy ... -2.832 eV/atom

abc: 10.7927 32.0848 32.0848
angles: 162.46 90.00 90.00
With the nearest neighbours (Å) after each atom.
Sites, in units of the cell vectors:
K1 0.0000 0.0369 0.9631  7 I 3.60-3.88
K2 0.0000 0.1602 0.8352  7 I 3.55-3.88
K3 0.0000 0.2275 0.7527  7 I 3.69-3.91
K4 0.0000 0.3182 0.6096  7 I 3.66-3.86
K5 0.0000 0.4103 0.5185  7 I 3.67-3.88
K6 0.0000 0.5185 0.4103  7 I 3.67-3.88
K7 0.0000 0.6096 0.3182  7 I 3.66-3.86
K8 0.0000 0.7527 0.2275  7 I 3.69-3.91
K9 0.0000 0.8352 0.1602  7 I 3.55-3.88
K10 0.0000 0.9631 0.0369  7 I 3.60-3.88
K11 0.5000 0.0575 0.9318  7 I 3.60-3.87
K12 0.5000 0.1296 0.8564  7 I 3.58-3.86
K13 0.5000 0.2626 0.7502  6 I 3.58-3.63
K14 0.5000 0.3761 0.6837  7 I 3.67-3.87
K15 0.5000 0.4839 0.5752  7 I 3.65-3.89
K16 0.5000 0.5752 0.4839  7 I 3.65-3.89
K17 0.5000 0.6837 0.3761  7 I 3.67-3.87
K18 0.5000 0.7502 0.2626  6 I 3.58-3.63
K19 0.5000 0.8564 0.1296  7 I 3.58-3.86
K20 0.5000 0.9318 0.0575  7 I 3.60-3.87
Pt1 0.2287 0.6463 0.8462  5 I 2.67-2.94
Pt2 0.2287 0.8462 0.6463  5 I 2.67-2.94
Pt3 0.2684 0.0484 0.4481  5 I 2.68-2.91
Pt4 0.2684 0.4481 0.0484  5 I 2.68-2.91
Pt5 0.2712 0.2480 0.2480  5 I 2.68-2.94
Pt6 0.7288 0.2480 0.2480  5 I 2.68-2.94
Pt7 0.7316 0.0484 0.4481  5 I 2.68-2.91
Pt8 0.7316 0.4481 0.0484  5 I 2.68-2.91
Pt9 0.7713 0.6463 0.8462  5 I 2.67-2.94
Pt10 0.7713 0.8462 0.6463  5 I 2.67-2.94
I1 0.0000 0.0746 0.4725  2 Pt 2.91
I2 0.0000 0.2790 0.2790  2 Pt 2.94
I3 0.0000 0.4725 0.0746  2 Pt 2.91
I4 0.2067 0.3740 0.5740  1 Pt 2.67
I5 0.2067 0.5740 0.3740  1 Pt 2.67
I6 0.2210 0.6061 0.8905  1 Pt 2.68
I7 0.2208 0.6906 0.8061  1 Pt 2.68
I8 0.2208 0.8061 0.6906  1 Pt 2.68
I9 0.2210 0.8905 0.6061  1 Pt 2.68
I10 0.2297 0.1201 0.9202  1 Pt 2.68
I11 0.2297 0.9202 0.1201  1 Pt 2.68
I12 0.2637 0.0082 0.4928  1 Pt 2.69
I13 0.2637 0.4928 0.0082  1 Pt 2.69
I14 0.2707 0.1746 0.7735  1 Pt 2.68
I15 0.2707 0.7735 0.1746  1 Pt 2.68
I16 0.2707 0.9742 0.9742  1 Pt 2.68
I17 0.2798 0.2037 0.2882  1 Pt 2.68
I18 0.2798 0.2882 0.2037  1 Pt 2.68
I19 0.2813 0.0854 0.4007  1 Pt 2.68
I20 0.2813 0.4007 0.0854  1 Pt 2.68
I21 0.2889 0.3219 0.7204  1 Pt 2.68
I22 0.2889 0.7204 0.3219  1 Pt 2.68
I23 0.2937 0.5203 0.5203  1 Pt 2.68
I24 0.5000 0.6154 0.8151  2 Pt 2.94
I25 0.5000 0.8151 0.6154  2 Pt 2.94
I26 0.7063 0.5203 0.5203  1 Pt 2.68
I27 0.7111 0.3219 0.7204  1 Pt 2.68
I28 0.7111 0.7204 0.3219  1 Pt 2.68
I29 0.7187 0.0854 0.4007  1 Pt 2.68
I30 0.7187 0.4007 0.0854  1 Pt 2.68
I31 0.7202 0.2037 0.2882  1 Pt 2.68
I32 0.7202 0.2882 0.2037  1 Pt 2.68
I33 0.7293 0.1746 0.7735  1 Pt 2.68
I34 0.7293 0.7735 0.1746  1 Pt 2.68
I35 0.7293 0.9742 0.9742  1 Pt 2.68
I36 0.7363 0.0082 0.4928  1 Pt 2.69
I37 0.7363 0.4928 0.0082  1 Pt 2.69
I38 0.7703 0.1201 0.9202  1 Pt 2.68
I39 0.7703 0.9202 0.1201  1 Pt 2.68
I40 0.7790 0.6061 0.8905  1 Pt 2.68
I41 0.7792 0.6906 0.8061  1 Pt 2.68
I42 0.7792 0.8061 0.6906  1 Pt 2.68
I43 0.7790 0.8905 0.6061  1 Pt 2.68
I44 0.7933 0.3740 0.5740  1 Pt 2.67
I45 0.7933 0.5740 0.3740  1 Pt 2.67


Among the records above, which one has the highest energy relative to the elements?
K2PtI5


The lowest total energy belongs to which entry?
K3PrI6


Look up the total energy of the first one.
-3.102 eV/atom


What is the formula in the second record?
K2RbPrI6